1.
{"formula": "Li3Mn2P3O12", "functional": "GGA+U", "state": "optimized geometry", "lattice_angstrom": [[-5.9198, 5.9198, 5.9198], [5.9198, -5.9198, 5.9198], [5.9198, 5.9198, -5.9198]], "species": ["Li", "Li", "Li", "Li", "Li", "Li", "Li", "Li", "Li", "Li", "Li", "Li", "Mn", "Mn", "Mn", "Mn", "Mn", "Mn", "Mn", "Mn", "P", "P", "P", "P", "P", "P", "P", "P", "P", "P", "P", "P", "O", "O", "O", "O", "O", "O", "O", "O", "O", "O", "O", "O", "O", "O", "O", "O", "O", "O", "O", "O", "O", "O", "O", "O", "O", "O", "O", "O", "O", "O", "O", "O", "O", "O", "O", "O", "O", "O", "O", "O", "O", "O", "O", "O", "O", "O", "O", "O"], "fractional_positions": [[0.1250, 0.2500, 0.3750], [0.1250, 0.3750, 0.7500], [0.2500, 0.3750, 0.1250], [0.2500, 0.8750, 0.6250], [0.3750, 0.1250, 0.2500], [0.3750, 0.7500, 0.1250], [0.6250, 0.2500, 0.8750], [0.6250, 0.8750, 0.7500], [0.7500, 0.1250, 0.3750], [0.7500, 0.6250, 0.8750], [0.8750, 0.6250, 0.2500], [0.8750, 0.7500, 0.6250], [0.0000, 0.0000, 0.0000], [0.0000, 0.0000, 0.5000], [0.0000, 0.5000, 0.0000], [0.0000, 0.5000, 0.5000], [0.5000, 0.0000, 0.0000], [0.5000, 0.0000, 0.5000], [0.5000, 0.5000, 0.0000], [0.5000, 0.5000, 0.5000], [0.1250, 0.7500, 0.8750], [0.1250, 0.8750, 0.2500], [0.2500, 0.1250, 0.8750], [0.2500, 0.6250, 0.3750], [0.3750, 0.2500, 0.6250], [0.3750, 0.6250, 0.7500], [0.6250, 0.3750, 0.2500], [0.6250, 0.7500, 0.3750], [0.7500, 0.3750, 0.6250], [0.7500, 0.8750, 0.1250], [0.8750, 0.1250, 0.7500], [0.8750, 0.2500, 0.1250], [0.0073, 0.2097, 0.1179], [0.0073, 0.2976, 0.8894], [0.0918, 0.7097, 0.7024], [0.0918, 0.8821, 0.3894], [0.1106, 0.6179, 0.4082], [0.1106, 0.9927, 0.7024], [0.1179, 0.0073, 0.2097], [0.1179, 0.6106, 0.9082], [0.2024, 0.2097, 0.5918], [0.2024, 0.4927, 0.6106], [0.2097, 0.1179, 0.0073], [0.2097, 0.5918, 0.2024], [0.2903, 0.2976, 0.9082], [0.2903, 0.4927, 0.3821], [0.2976, 0.8894, 0.0073], [0.2976, 0.9082, 0.2903], [0.3821, 0.2903, 0.4927], [0.3821, 0.5918, 0.8894], [0.3894, 0.0918, 0.8821], [0.3894, 0.7976, 0.5073], [0.4082, 0.1106, 0.6179], [0.4082, 0.7976, 0.7903], [0.4927, 0.3821, 0.2903], [0.4927, 0.6106, 0.2024], [0.5073, 0.3894, 0.7976], [0.5073, 0.6179, 0.7097], [0.5918, 0.2024, 0.2097], [0.5918, 0.8894, 0.3821], [0.6106, 0.2024, 0.4927], [0.6106, 0.9082, 0.1179], [0.6179, 0.4082, 0.1106], [0.6179, 0.7097, 0.5073], [0.7024, 0.0918, 0.7097], [0.7024, 0.1106, 0.9927], [0.7097, 0.5073, 0.6179], [0.7097, 0.7024, 0.0918], [0.7903, 0.4082, 0.7976], [0.7903, 0.8821, 0.9927], [0.7976, 0.5073, 0.3894], [0.7976, 0.7903, 0.4082], [0.8821, 0.3894, 0.0918], [0.8821, 0.9927, 0.7903], [0.8894, 0.0073, 0.2976], [0.8894, 0.3821, 0.5918], [0.9082, 0.1179, 0.6106], [0.9082, 0.2903, 0.2976], [0.9927, 0.7024, 0.1106], [0.9927, 0.7903, 0.8821]], "formation_enthalpy_0k_ev_per_atom": -2.486, "relative_energy_ev_per_atom": 0.078}

---

2.
{"formula": "MgV2In2O8", "functional": "GGA+U", "state": "optimized geometry", "lattice_angstrom": [[4.9563, 0.0000, 0.0000], [0.0000, 6.0238, 0.0000], [-0.1003, 0.0000, 5.1140]], "species": ["Mg", "V", "V", "In", "In", "O", "O", "O", "O", "O", "O", "O", "O"], "fractional_positions": [[0.0000, 0.0000, 0.0000], [0.5000, 0.0408, 0.0000], [0.5000, 0.7325, 0.5000], [0.0000, 0.2481, 0.5000], [0.0000, 0.5433, 0.0000], [0.2283, 0.2523, 0.8558], [0.2487, 0.5328, 0.3568], [0.2698, 0.7996, 0.8142], [0.2864, 0.0029, 0.2985], [0.7136, 0.0029, 0.7015], [0.7302, 0.7996, 0.1858], [0.7513, 0.5328, 0.6432], [0.7717, 0.2523, 0.1442]], "formation_enthalpy_0k_ev_per_atom": -2.195, "relative_energy_ev_per_atom": 0.099}

---

3.
{"formula": "NaCo3As3H2O12", "functional": "GGA+U", "state": "optimized geometry", "lattice_angstrom": [[6.0918, -6.2478, 0.0000], [6.0918, 6.2478, 0.0000], [-2.7171, 0.0000, 6.3545]], "species": ["Na", "Na", "Co", "Co", "Co", "Co", "Co", "Co", "As", "As", "As", "As", "As", "As", "H", "H", "H", "H", "O", "O", "O", "O", "O", "O", "O", "O", "O", "O", "O", "O", "O", "O", "O", "O", "O", "O", "O", "O", "O", "O", "O", "O"], "fractional_positions": [[0.0044, 0.9956, 0.7500], [0.9956, 0.0044, 0.2500], [0.0448, 0.3694, 0.6148], [0.2778, 0.7222, 0.2500], [0.3694, 0.0448, 0.1148], [0.6306, 0.9552, 0.8852], [0.7222, 0.2778, 0.7500], [0.9552, 0.6306, 0.3852], [0.1042, 0.3328, 0.1116], [0.3146, 0.6854, 0.7500], [0.3328, 0.1042, 0.6116], [0.6672, 0.8958, 0.3884], [0.6854, 0.3146, 0.2500], [0.8958, 0.6672, 0.8884], [0.3822, 0.3911, 0.1960], [0.3911, 0.3822, 0.6960], [0.6089, 0.6178, 0.3040], [0.6178, 0.6089, 0.8040], [0.0219, 0.3986, 0.3139], [0.0253, 0.6694, 0.1280], [0.1409, 0.1511, 0.5930], [0.1511, 0.1409, 0.0930], [0.2019, 0.7278, 0.5249], [0.2722, 0.7981, 0.9751], [0.2791, 0.4625, 0.1654], [0.2810, 0.4841, 0.7274], [0.3306, 0.9747, 0.3720], [0.3986, 0.0219, 0.8139], [0.4625, 0.2791, 0.6654], [0.4841, 0.2810, 0.2274], [0.5159, 0.7190, 0.7726], [0.5375, 0.7209, 0.3346], [0.6014, 0.9781, 0.1861], [0.6694, 0.0253, 0.6280], [0.7190, 0.5159, 0.2726], [0.7209, 0.5375, 0.8346], [0.7278, 0.2019, 0.0249], [0.7981, 0.2722, 0.4751], [0.8489, 0.8591, 0.9070], [0.8591, 0.8489, 0.4070], [0.9747, 0.3306, 0.8720], [0.9781, 0.6014, 0.6861]], "formation_enthalpy_0k_ev_per_atom": -1.623}

---

4.
{"formula": "Li9Mn7O16", "functional": "GGA+U", "state": "optimized geometry", "lattice_angstrom": [[5.2860, 0.0000, 0.0000], [2.1178, 5.6868, 0.0000], [2.0724, -0.1380, 9.9041]], "species": ["Li", "Li", "Li", "Li", "Li", "Li", "Li", "Li", "Li", "Mn", "Mn", "Mn", "Mn", "Mn", "Mn", "Mn", "O", "O", "O", "O", "O", "O", "O", "O", "O", "O", "O", "O", "O", "O", "O", "O"], "fractional_positions": [[0.0000, 0.0000, 0.0000], [0.4943, 0.6332, 0.8795], [0.4964, 0.1176, 0.8786], [0.4973, 0.3733, 0.6245], [0.4986, 0.8766, 0.6265], [0.5014, 0.1234, 0.3735], [0.5027, 0.6267, 0.3755], [0.5036, 0.8824, 0.1214], [0.5057, 0.3668, 0.1205], [0.0000, 0.0000, 0.5000], [0.0000, 0.5000, 0.0000], [0.0000, 0.5000, 0.5000], [0.0032, 0.2500, 0.7538], [0.0045, 0.7572, 0.7545], [0.9955, 0.2428, 0.2455], [0.9968, 0.7500, 0.2462], [0.2086, 0.6682, 0.0648], [0.2191, 0.4479, 0.3162], [0.2257, 0.9464, 0.8062], [0.2302, 0.7070, 0.5698], [0.2314, 0.2058, 0.0683], [0.2320, 0.2081, 0.5683], [0.2349, 0.9545, 0.3164], [0.2368, 0.4593, 0.8224], [0.7632, 0.5407, 0.1776], [0.7651, 0.0455, 0.6836], [0.7680, 0.7919, 0.4317], [0.7686, 0.7942, 0.9317], [0.7698, 0.2930, 0.4302], [0.7743, 0.0536, 0.1938], [0.7809, 0.5521, 0.6838], [0.7914, 0.3318, 0.9352]], "formation_enthalpy_0k_ev_per_atom": -2.133, "relative_energy_ev_per_atom": 0.012}

---

5.
{"formula": "MgMn6O10F2", "functional": "GGA+U", "state": "optimized geometry", "lattice_angstrom": [[5.7474, 0.0000, 0.0000], [-2.3792, 5.3590, 0.0000], [-1.2110, -2.8102, 6.9563]], "species": ["Mg", "Mn", "Mn", "Mn", "Mn", "Mn", "Mn", "O", "O", "O", "O", "O", "O", "O", "O", "O", "O", "F", "F"], "fractional_positions": [[0.0000, 0.0000, 0.0000], [0.0100, 0.5132, 0.0016], [0.0210, 0.9586, 0.4724], [0.3519, 0.5291, 0.3488], [0.3732, 0.9641, 0.8090], [0.6637, 0.0852, 0.2246], [0.6925, 0.4781, 0.6645], [0.0438, 0.1621, 0.2970], [0.0963, 0.6473, 0.2767], [0.2919, 0.8719, 0.0304], [0.3939, 0.1430, 0.6319], [0.5986, 0.3812, 0.3948], [0.6490, 0.8606, 0.3700], [0.7395, 0.1592, 0.9876], [0.7559, 0.6165, 0.9399], [0.9404, 0.3721, 0.7297], [0.9878, 0.8395, 0.6991], [0.2644, 0.3625, 0.0304], [0.4450, 0.6509, 0.6530]], "formation_enthalpy_0k_ev_per_atom": -2.105, "relative_energy_ev_per_atom": 0.026}

---

6.
{"formula": "NiPO4", "functional": "GGA+U", "state": "optimized geometry", "lattice_angstrom": [[9.9372, 0.0000, 0.0000], [0.0000, 5.7527, 0.0000], [0.0000, 0.0000, 4.8051]], "species": ["Ni", "Ni", "Ni", "Ni", "P", "P", "P", "P", "O", "O", "O", "O", "O", "O", "O", "O", "O", "O", "O", "O", "O", "O", "O", "O"], "fractional_positions": [[0.2284, 0.2500, 0.0492], [0.2716, 0.7500, 0.5492], [0.7284, 0.2500, 0.4508], [0.7716, 0.7500, 0.9508], [0.0927, 0.7500, 0.1052], [0.4073, 0.2500, 0.6052], [0.5927, 0.7500, 0.3948], [0.9073, 0.2500, 0.8948], [0.0583, 0.2500, 0.8266], [0.1099, 0.7500, 0.7891], [0.1655, 0.5411, 0.2528], [0.1655, 0.9589, 0.2528], [0.3345, 0.0411, 0.7528], [0.3345, 0.4589, 0.7528], [0.3901, 0.2500, 0.2891], [0.4417, 0.7500, 0.3266], [0.5583, 0.2500, 0.6734], [0.6099, 0.7500, 0.7109], [0.6655, 0.5411, 0.2472], [0.6655, 0.9589, 0.2472], [0.8345, 0.0411, 0.7472], [0.8345, 0.4589, 0.7472], [0.8901, 0.2500, 0.2109], [0.9417, 0.7500, 0.1734]], "formation_enthalpy_0k_ev_per_atom": -1.934}

---

7.
{"formula": "BaSmEuWO6", "functional": "GGA+U", "state": "optimized geometry", "lattice_angstrom": [[5.9796, 0.0000, 0.0000], [-0.0198, 6.0561, 0.0000], [-0.0551, -0.0191, 8.4446]], "species": ["Ba", "Ba", "Sm", "Sm", "Eu", "Eu", "W", "W", "O", "O", "O", "O", "O", "O", "O", "O", "O", "O", "O", "O"], "fractional_positions": [[0.0103, 0.0390, 0.2521], [0.9897, 0.9610, 0.7479], [0.0000, 0.5000, 0.5000], [0.5000, 0.0000, 0.0000], [0.4888, 0.5460, 0.2553], [0.5112, 0.4540, 0.7447], [0.0000, 0.5000, 0.0000], [0.5000, 0.0000, 0.5000], [0.0929, 0.5031, 0.7695], [0.1997, 0.7626, 0.0455], [0.2317, 0.7973, 0.4633], [0.2753, 0.3088, 0.0448], [0.3140, 0.2800, 0.4546], [0.4344, 0.0276, 0.7279], [0.5656, 0.9724, 0.2721], [0.6860, 0.7200, 0.5454], [0.7247, 0.6912, 0.9552], [0.7683, 0.2027, 0.5367], [0.8003, 0.2374, 0.9545], [0.9071, 0.4969, 0.2305]], "formation_enthalpy_0k_ev_per_atom": -3.069, "relative_energy_ev_per_atom": 0.000}

---

8.
{"formula": "Li2V3TeO8", "functional": "GGA+U", "state": "optimized geometry", "lattice_angstrom": [[6.0511, 0.0000, 0.0000], [-3.0253, 5.4530, 0.0000], [-0.0324, -3.3723, 9.9237]], "species": ["Li", "Li", "Li", "Li", "V", "V", "V", "V", "V", "V", "Te", "Te", "O", "O", "O", "O", "O", "O", "O", "O", "O", "O", "O", "O", "O", "O", "O", "O"], "fractional_positions": [[0.0566, 0.1130, 0.1843], [0.4428, 0.8874, 0.3139], [0.5572, 0.1126, 0.6861], [0.9434, 0.8870, 0.8157], [0.0000, 0.5000, 0.0000], [0.0000, 0.5000, 0.5000], [0.2497, 0.4993, 0.7494], [0.5000, 0.5000, 0.0000], [0.5000, 0.5000, 0.5000], [0.7503, 0.5007, 0.2506], [0.0000, 0.0000, 0.5000], [0.5000, 0.0000, 0.0000], [0.0986, 0.7345, 0.3796], [0.1392, 0.7370, 0.8780], [0.1428, 0.2635, 0.3902], [0.1497, 0.2995, 0.8824], [0.3508, 0.7019, 0.6167], [0.3594, 0.2658, 0.6237], [0.3601, 0.7362, 0.1087], [0.3972, 0.2650, 0.1150], [0.6028, 0.7350, 0.8850], [0.6399, 0.2638, 0.8913], [0.6406, 0.7342, 0.3763], [0.6492, 0.2981, 0.3833], [0.8503, 0.7005, 0.1176], [0.8572, 0.7365, 0.6098], [0.8608, 0.2630, 0.1220], [0.9014, 0.2655, 0.6204]], "formation_enthalpy_0k_ev_per_atom": -2.263, "relative_energy_ev_per_atom": 0.005}

---

| no. | DFT total energy (eV per cell) |
| --- | --- |
| 1 | -551.2 |
| 2 | -84.5 |
| 3 | -247.4 |
| 4 | -206.1 |
| 5 | -132.1 |
| 6 | -149.2 |
| 7 | -163.3 |
| 8 | -189.8 |